No. 1
Crystalline MgH12Br2O6 at its relaxed geometry, computed with GGA-PBE.

## Properties
The magnetic moment is 0.000 μB/atom. As for the total DFT energy (no corrections): -99.041 eV/cell. Its space-group type is C2/m.

abc: 6.3026 6.4956 6.4956
angles: 71.12 87.03 87.03
Last column: nearest neighbours and their distance in Å.
Atoms (fractional coordinates):
H1 0.0039 0.7528 0.7528  1 O 0.98
H2 0.6866 0.2039 0.5842  1 O 0.98
H3 0.7403 0.2290 0.8126  1 O 0.99
H4 0.2453 0.2713 0.2713  1 O 0.98
H5 0.3134 0.4158 0.7961  1 O 0.98
H6 0.7403 0.8126 0.2290  1 O 0.99
H7 0.7547 0.7287 0.7287  1 O 0.98
H8 0.2597 0.7710 0.1874  1 O 0.99
H9 0.2597 0.1874 0.7710  1 O 0.99
H10 0.3134 0.7961 0.4158  1 O 0.98
H11 0.9961 0.2472 0.2472  1 O 0.98
H12 0.6866 0.5842 0.2039  1 O 0.98
O1 0.7865 0.2635 0.6580  2 H 0.98-0.99
O2 0.2135 0.7365 0.3420  2 H 0.98-0.99
O3 0.1008 0.3119 0.3119  2 H 0.98
O4 0.8992 0.6881 0.6881  2 H 0.98
O5 0.7865 0.6580 0.2635  2 H 0.98-0.99
O6 0.2135 0.3420 0.7365  2 H 0.98-0.99
Mg1 0.0000 0.5000 0.5000  6 O 2.05-2.07
Br1 0.6177 0.1808 0.1808  4 H 2.40-2.53
Br2 0.3823 0.8192 0.8192  4 H 2.40-2.53


No. 2
Crystalline KI2O6 at its relaxed geometry, computed with GGA-PBE.

## Properties
The magnetic moment is 0.094 μB/atom. Its space-group type is Fdd2. The value obtained for the excess energy over the best structure of this formula in the dataset is 57 meV per atom.

abc: 21.0502 20.6141 7.1498
angles: 83.58 76.69 19.73
Last column: nearest neighbours and their distance in Å.
Atoms (fractional coordinates):
O1 0.7246 0.1116 0.4362  1 I 1.83
O2 0.0759 0.8214 0.0572  1 I 1.84
O3 0.5470 0.8541 0.7583  1 I 1.85
O4 0.0572 0.0456 0.0759  1 I 1.84
O5 0.6944 0.3367 0.0820  1 I 1.91
O6 0.9779 0.4301 0.0080  1 I 1.81
O7 0.7442 0.4233 0.0301  1 I 1.83
O8 0.3631 0.1680 0.9133  1 I 1.91
O9 0.1384 0.5254 0.5225  1 I 1.83
O10 0.4094 0.4917 0.3959  1 I 1.85
O11 0.8267 0.5058 0.4476  1 I 1.83
O12 0.3959 0.7030 0.4094  1 I 1.85
O13 0.5579 0.2418 0.1239  1 I 1.85
O14 0.5225 0.8138 0.1384  1 I 1.83
O15 0.9133 0.5556 0.3631  1 I 1.91
O16 0.9181 0.3897 0.7955  1 I 1.88
O17 0.0082 0.6921 0.1736  1 I 1.85
O18 0.2044 0.1928 0.4286  1 I 1.84
O19 0.7955 0.8967 0.9181  1 I 1.88
O20 0.6660 0.2420 0.8199  1 I 1.81
O21 0.0574 0.4678 0.5781  1 I 1.89
O22 0.4286 0.1741 0.2044  1 I 1.84
O23 0.4476 0.2199 0.8267  1 I 1.83
O24 0.5781 0.8967 0.0574  1 I 1.89
O25 0.0301 0.8024 0.7442  1 I 1.83
O26 0.4362 0.7275 0.7246  1 I 1.83
O27 0.1736 0.1261 0.0082  1 I 1.85
O28 0.0820 0.8869 0.6944  1 I 1.91
O29 0.3533 0.4545 0.8603  1 I 1.88
O30 0.7822 0.1926 0.3533  1 I 1.89
O31 0.0080 0.5840 0.9779  1 I 1.81
O32 0.1239 0.0764 0.5579  1 I 1.85
O33 0.8199 0.2721 0.6660  1 I 1.81
O34 0.3533 0.6719 0.7822  1 I 1.89
O35 0.7583 0.8406 0.5470  1 I 1.85
O36 0.8603 0.3319 0.3533  1 I 1.88
I1 0.5511 0.0502 0.9314  3 O 1.83-1.91
I2 0.9314 0.4673 0.5511  3 O 1.83-1.91
I3 0.8470 0.3345 0.6223  3 O 1.81-1.88
I4 0.0538 0.6277 0.9155  3 O 1.81-1.88
I5 0.2631 0.8362 0.6831  3 O 1.83-1.89
I6 0.0325 0.5669 0.4138  3 O 1.83-1.89
I7 0.6831 0.2175 0.2631  3 O 1.83-1.89
I8 0.4138 0.9869 0.0325  3 O 1.83-1.89
I9 0.7827 0.3186 0.1998  3 O 1.83-1.91
I10 0.6223 0.1962 0.8470  3 O 1.81-1.88
I11 0.1998 0.6989 0.7827  3 O 1.83-1.91
I12 0.9155 0.4030 0.0538  3 O 1.81-1.88
K1 0.4799 0.0201 0.4799  8 O 2.87-3.07
K2 0.2299 0.7701 0.2299  8 O 2.87-3.07
K3 0.5828 0.1163 0.3856  7 O 2.70-3.00
K4 0.3347 0.8644 0.1337  7 O 2.70-3.00
K5 0.1337 0.6672 0.3347  7 O 2.70-3.00
K6 0.3856 0.9153 0.5828  7 O 2.70-3.00


No. 3
Crystalline Ba2In2Se5 at its relaxed geometry, computed with GGA-PBE.

## Properties
The magnetic moment is 0.000 μB/atom. As for the total DFT energy (no corrections): -304.923 eV/cell. Its space-group type is Pbca.

abc: 12.4876 13.4387 13.9309
angles: 90.00 90.00 90.00
Last column: nearest neighbours and their distance in Å.
Atoms (fractional coordinates):
Ba1 0.9963 0.9713 0.1928  7 Se 3.27-3.56
Ba2 0.4963 0.5287 0.1928  7 Se 3.27-3.56
Ba3 0.0037 0.5287 0.6928  7 Se 3.27-3.56
Ba4 0.2507 0.7458 0.8110  7 Se 3.31-3.54
Ba5 0.7507 0.7542 0.8110  7 Se 3.31-3.54
Ba6 0.2493 0.2458 0.1890  7 Se 3.31-3.54
Ba7 0.9963 0.4713 0.3072  7 Se 3.27-3.56
Ba8 0.5037 0.4713 0.8072  7 Se 3.27-3.56
Ba9 0.2493 0.7458 0.3110  7 Se 3.31-3.54
Ba10 0.0037 0.0287 0.8072  7 Se 3.27-3.56
Ba11 0.5037 0.9713 0.6928  7 Se 3.27-3.56
Ba12 0.7493 0.7542 0.3110  7 Se 3.31-3.54
Ba13 0.4963 0.0287 0.3072  7 Se 3.27-3.56
Ba14 0.7493 0.2542 0.1890  7 Se 3.31-3.54
Ba15 0.2507 0.2458 0.6890  7 Se 3.31-3.54
Ba16 0.7507 0.2542 0.6890  7 Se 3.31-3.54
Se1 0.2411 0.4883 0.7883  1 In 2.59
Se2 0.9309 0.6091 0.9275  2 In 2.62-2.63
Se3 0.0031 0.7191 0.2268  1 In 2.56
Se4 0.7411 0.0117 0.7883  1 In 2.59
Se5 0.9969 0.2809 0.7732  1 In 2.56
Se6 0.4969 0.7191 0.7268  1 In 2.56
Se7 0.0691 0.3909 0.0725  2 In 2.62-2.63
Se8 0.7589 0.0117 0.2883  1 In 2.59
Se9 0.7589 0.5117 0.2117  1 In 2.59
Se10 0.9098 0.6231 0.4740  2 In 2.67-2.69
Se11 0.2411 0.9883 0.7117  1 In 2.59
Se12 0.5902 0.1231 0.5260  2 In 2.67-2.69
Se13 0.5691 0.1091 0.0725  2 In 2.62-2.63
Se14 0.9309 0.1091 0.5725  2 In 2.62-2.63
Se15 0.0902 0.3769 0.5260  2 In 2.67-2.69
Se16 0.4309 0.8909 0.9275  2 In 2.62-2.63
Se17 0.7637 0.3550 0.4586  2 In 2.64
Se18 0.2637 0.1450 0.4586  2 In 2.64
Se19 0.5902 0.6231 0.9740  2 In 2.67-2.69
Se20 0.9969 0.7809 0.7268  1 In 2.56
Se21 0.7363 0.8550 0.5414  2 In 2.64
Se22 0.4969 0.2191 0.7732  1 In 2.56
Se23 0.4098 0.8769 0.4740  2 In 2.67-2.69
Se24 0.7363 0.3550 0.9586  2 In 2.64
Se25 0.4309 0.3909 0.5725  2 In 2.62-2.63
Se26 0.2589 0.9883 0.2117  1 In 2.59
Se27 0.2589 0.4883 0.2883  1 In 2.59
Se28 0.9098 0.1231 0.0260  2 In 2.67-2.69
Se29 0.0902 0.8769 0.9740  2 In 2.67-2.69
Se30 0.4098 0.3769 0.0260  2 In 2.67-2.69
Se31 0.5031 0.2809 0.2732  1 In 2.56
Se32 0.0031 0.2191 0.2732  1 In 2.56
Se33 0.2363 0.1450 0.9586  2 In 2.64
Se34 0.0691 0.8909 0.4275  2 In 2.62-2.63
Se35 0.5691 0.6091 0.4275  2 In 2.62-2.63
Se36 0.7411 0.5117 0.7117  1 In 2.59
Se37 0.2637 0.6450 0.0414  2 In 2.64
Se38 0.2363 0.6450 0.5414  2 In 2.64
Se39 0.7637 0.8550 0.0414  2 In 2.64
Se40 0.5031 0.7809 0.2268  1 In 2.56
In1 0.4404 0.6961 0.5513  4 Se 2.56-2.69
In2 0.7720 0.0350 0.4722  4 Se 2.59-2.67
In3 0.5596 0.8039 0.0513  4 Se 2.56-2.69
In4 0.0596 0.1961 0.4487  4 Se 2.56-2.69
In5 0.7280 0.5350 0.5278  4 Se 2.59-2.67
In6 0.2280 0.4650 0.9722  4 Se 2.59-2.67
In7 0.2720 0.4650 0.4722  4 Se 2.59-2.67
In8 0.2720 0.9650 0.0278  4 Se 2.59-2.67
In9 0.7280 0.0350 0.9722  4 Se 2.59-2.67
In10 0.9404 0.3039 0.9487  4 Se 2.56-2.69
In11 0.0596 0.6961 0.0513  4 Se 2.56-2.69
In12 0.5596 0.3039 0.4487  4 Se 2.56-2.69
In13 0.9404 0.8039 0.5513  4 Se 2.56-2.69
In14 0.7720 0.5350 0.0278  4 Se 2.59-2.67
In15 0.4404 0.1961 0.9487  4 Se 2.56-2.69
In16 0.2280 0.9650 0.5278  4 Se 2.59-2.67


No. 4
Crystalline ThIr2 at its relaxed geometry, computed with GGA-PBE.

## Properties
As for the total DFT energy (no corrections): -55.181 eV/cell. Its space-group type is Fd-3m.

abc: 5.4558 5.4558 5.4558
angles: 60.00 60.00 60.00
Last column: nearest neighbours and their distance in Å.
Atoms (fractional coordinates):
Ir1 0.6250 0.1250 0.6250  6 Ir 2.73
Ir2 0.1250 0.6250 0.6250  6 Ir 2.73
Ir3 0.6250 0.6250 0.1250  6 Ir 2.73
Ir4 0.6250 0.6250 0.6250  6 Ir 2.73
Th1 0.0000 0.0000 0.0000  12 Ir 3.20, 4 Th 3.34
Th2 0.2500 0.2500 0.2500  12 Ir 3.20, 4 Th 3.34


No. 5
Crystalline Th2Si3Ir3 at its relaxed geometry, computed with GGA-PBE.

## Properties
The magnetic moment is 0.001 μB/atom. As for the total DFT energy (no corrections): -51.477 eV/cell. Its space-group type is P4/mmm.

abc: 2.9049 2.9049 20.3964
angles: 90.00 90.00 90.00
Last column: nearest neighbours and their distance in Å.
Atoms (fractional coordinates):
Th1 0.5000 0.5000 0.7592  1 Ir 2.59
Th2 0.5000 0.5000 0.2408  1 Ir 2.59
Ir1 0.5000 0.5000 0.8864  1 Si 2.32, 1 Th 2.59
Ir2 0.5000 0.5000 0.5000  2 Si 2.28
Ir3 0.5000 0.5000 0.1136  1 Si 2.32, 1 Th 2.59
Si1 0.5000 0.5000 0.0000  2 Ir 2.32
Si2 0.5000 0.5000 0.3884  1 Ir 2.28
Si3 0.5000 0.5000 0.6116  1 Ir 2.28


No. 6
Crystalline Ho3Ga at its relaxed geometry, computed with GGA-PBE.

## Properties
The magnetic moment is 0.016 μB/atom. As for the total DFT energy (no corrections): -17.735 eV/cell. Its space-group type is Pm-3m.

abc: 4.6965 4.6965 4.6965
angles: 90.00 90.00 90.00
Last column: nearest neighbours and their distance in Å.
Atoms (fractional coordinates):
Ho1 0.5000 0.0000 0.5000  8 Ho 3.32, 4 Ga 3.32
Ho2 0.0000 0.5000 0.5000  8 Ho 3.32, 4 Ga 3.32
Ho3 0.5000 0.5000 0.0000  8 Ho 3.32, 4 Ga 3.32
Ga1 0.0000 0.0000 0.0000  12 Ho 3.32


No. 7
Crystalline Dy3In at its relaxed geometry, computed with GGA-PBE.

## Properties
As for the total DFT energy (no corrections): -17.615 eV/cell. Its space-group type is Pm-3m.

abc: 4.8427 4.8427 4.8427
angles: 90.00 90.00 90.00
Last column: nearest neighbours and their distance in Å.
Atoms (fractional coordinates):
Dy1 0.5000 0.5000 0.0000  4 In 3.42, 8 Dy 3.42
Dy2 0.5000 0.0000 0.5000  4 In 3.42, 8 Dy 3.42
Dy3 0.0000 0.5000 0.5000  4 In 3.42, 8 Dy 3.42
In1 0.0000 0.0000 0.0000  12 Dy 3.42


No. 8
Crystalline PtC at its relaxed geometry, computed with GGA-PBE.

## Properties
The magnetic moment is 0.000 μB/atom. Its space-group type is Fm-3m. The value obtained for the excess energy over the best structure of this formula in the dataset is 571 meV per atom.

abc: 3.1672 3.1672 3.1672
angles: 60.00 60.00 60.00
Last column: nearest neighbours and their distance in Å.
Atoms (fractional coordinates):
C1 0.0000 0.0000 0.0000  6 Pt 2.24
Pt1 0.5000 0.5000 0.5000  6 C 2.24


Number 1: calculated volume 251 Å³ per cell. Number 2: calculated volume 966 Å³ per cell. Number 3: calculated volume 2338 Å³ per cell. Number 4: calculated volume 115 Å³ per cell. Number 5: calculated volume 172 Å³ per cell. Number 6: calculated volume 104 Å³ per cell. Number 7: calculated volume 114 Å³ per cell. Number 8: calculated volume 22 Å³ per cell.